Arrangement one

First-principles (PBE+U) data for a relaxed structure of BaMg6MnO8, as listed in the Materials Project database.

Unit cell a=4.6849 b=4.6849 c=8.9068 alpha=90.00 beta=90.00 gamma=90.00
Positions (direct):
Ba  0.0000  0.0000  0.0000
Mg  0.0000  0.5000  0.2656
Mg  0.0000  0.5000  0.7344
Mg  0.5000  0.0000  0.2656
Mg  0.5000  0.0000  0.7344
Mg  0.5000  0.5000  0.0000
Mg  0.5000  0.5000  0.5000
Mn  0.0000  0.0000  0.5000
O  0.0000  0.0000  0.2769
O  0.0000  0.0000  0.7231
O  0.0000  0.5000  0.0000
O  0.0000  0.5000  0.5000
O  0.5000  0.0000  0.0000
O  0.5000  0.0000  0.5000
O  0.5000  0.5000  0.2540
O  0.5000  0.5000  0.7460

space-group type = P4/mmm, No. 123
size of the total moment = 5.000 μB per cell

Arrangement two

First-principles (PBE+U) data for a relaxed structure of BaMg6MnO8, as listed in the Materials Project database.

Unit cell a=4.6729 b=4.6729 c=8.8915 alpha=90.00 beta=90.00 gamma=90.00
Positions (direct):
Ba  0.0000  0.0000  0.0000
Mg  0.0000  0.0000  0.5000
Mg  0.0000  0.5000  0.2686
Mg  0.0000  0.5000  0.7314
Mg  0.5000  0.0000  0.2686
Mg  0.5000  0.0000  0.7314
Mg  0.5000  0.5000  0.5000
Mn  0.5000  0.5000  0.0000
O  0.0000  0.0000  0.2830
O  0.0000  0.0000  0.7170
O  0.0000  0.5000  0.0000
O  0.0000  0.5000  0.5000
O  0.5000  0.0000  0.0000
O  0.5000  0.0000  0.5000
O  0.5000  0.5000  0.2601
O  0.5000  0.5000  0.7399

space-group type = P4/mmm, No. 123
size of the total moment = 5.000 μB per cell

arrangement two takes first place; second place is 33 meV/atom up.

Arrangement one

First-principles (PBE+U) data for a relaxed structure of Ba2MgMn2O6, as listed in the Materials Project database.

Unit cell a=5.4547 b=5.7821 c=6.0034 alpha=62.01 beta=85.22 gamma=72.43
Positions (direct):
Ba  0.0000  0.0000  0.0000
Ba  0.3680  0.5277  0.7527
Mg  0.7684  0.8431  0.5829
Mn  0.2456  0.2902  0.3963
Mn  0.7354  0.3965  0.2841
O  0.0351  0.0468  0.4551
O  0.3826  0.5941  0.2789
O  0.4534  0.0574  0.7093
O  0.5684  0.1606  0.2326
O  0.9023  0.5303  0.4606
O  0.9209  0.5485  0.9431

space-group type = P1, No. 1
size of the total moment = 4.000 μB per cell

Arrangement two

First-principles (PBE+U) data for a relaxed structure of Ba2MgMn2O6, as listed in the Materials Project database.

Unit cell a=5.7229 b=5.7993 c=6.0822 alpha=63.26 beta=85.48 gamma=72.50
Positions (direct):
Ba  0.0000  0.0000  0.0000
Ba  0.3461  0.5292  0.7613
Mg  0.6237  0.6339  0.2343
Mn  0.1380  0.2656  0.3589
Mn  0.6568  0.0908  0.4694
O  0.0057  0.9596  0.4455
O  0.3391  0.5154  0.2244
O  0.3599  0.0626  0.6596
O  0.5580  0.9839  0.2367
O  0.7435  0.3313  0.5732
O  0.9127  0.5006  0.0673

space-group type = P1, No. 1
size of the total moment = 8.000 μB per cell

Arrangement three

First-principles (PBE+U) data for a relaxed structure of Ba2MgMn2O6, as listed in the Materials Project database.

Unit cell a=5.6694 b=5.5113 c=6.5175 alpha=90.00 beta=114.39 gamma=90.00
Positions (direct):
Ba  0.0000  0.0000  0.0000
Ba  0.4383  0.5000  0.8463
Mg  0.2663  0.0000  0.5704
Mn  0.6738  0.2668  0.3751
Mn  0.6738  0.7332  0.3751
O  0.3964  0.5000  0.2607
O  0.4238  0.0000  0.8863
O  0.4566  0.0000  0.3962
O  0.8275  0.5000  0.6938
O  0.8363  0.5000  0.2524
O  0.9107  0.0000  0.3964

space-group type = Pm, No. 6
size of the total moment = 8.000 μB per cell

arrangement two takes first place; second place is 180 meV/atom up.

Arrangement one

First-principles (PBE+U) data for a relaxed structure of BaMgMn4O8, as listed in the Materials Project database.

Unit cell a=5.4881 b=5.4881 c=7.2571 alpha=90.00 beta=90.00 gamma=120.00
Positions (direct):
Ba  0.0000  0.0000  0.0000
Mg  0.0000  0.0000  0.5000
Mn  0.3333  0.6667  0.2611
Mn  0.3333  0.6667  0.7389
Mn  0.6667  0.3333  0.2611
Mn  0.6667  0.3333  0.7389
O  0.0000  0.3104  0.3189
O  0.0000  0.6896  0.6811
O  0.3104  0.0000  0.3189
O  0.3104  0.3104  0.6811
O  0.3333  0.6667  0.0000
O  0.6667  0.3333  0.0000
O  0.6896  0.0000  0.6811
O  0.6896  0.6896  0.3189

space-group type = P-31m, No. 162
size of the total moment = 16.001 μB per cell

Arrangement two

First-principles (PBE+U) data for a relaxed structure of BaMgMn4O8, as listed in the Materials Project database.

Unit cell a=7.1977 b=7.1977 c=9.3326 alpha=123.51 beta=123.51 gamma=25.44
Positions (direct):
Ba  0.0000  0.0000  0.0000
Mg  0.2661  0.2661  0.3027
Mn  0.2498  0.2498  0.6070
Mn  0.4957  0.4957  0.3190
Mn  0.7276  0.7276  0.9399
Mn  0.9563  0.9563  0.6254
O  0.0913  0.0913  0.3481
O  0.1188  0.1188  0.8216
O  0.3524  0.3524  0.0647
O  0.4330  0.4330  0.7410
O  0.4452  0.4452  0.4760
O  0.6998  0.6998  0.1290
O  0.7517  0.7517  0.7442
O  0.7870  0.7870  0.4786

space-group type = Cm, No. 8
size of the total moment = 16.000 μB per cell

arrangement two takes first place; second place is 17 meV/atom up.

Arrangement one

First-principles (PBE+U) data for a relaxed structure of Ba4MgMn4P8O28, as listed in the Materials Project database.

Unit cell a=5.7416 b=8.7533 c=13.2899 alpha=88.47 beta=89.18 gamma=89.77
Positions (direct):
Ba  0.0000  0.0000  0.0000
Ba  0.0582  0.5014  0.9397
Ba  0.5156  0.2112  0.5106
Ba  0.5806  0.7209  0.4468
Mg  0.0314  0.3052  0.1903
Mn  0.1067  0.5240  0.6227
Mn  0.4821  0.1999  0.8331
Mn  0.6080  0.6862  0.1165
Mn  0.9743  0.0292  0.3248
P  0.0439  0.9120  0.5564
P  0.0520  0.4151  0.4040
P  0.1029  0.6742  0.2480
P  0.4935  0.0395  0.2010
P  0.5190  0.3005  0.0455
P  0.5341  0.8057  0.8927
P  0.5893  0.5591  0.7438
P  0.9885  0.1629  0.7040
O  0.0272  0.9886  0.6661
O  0.0521  0.4964  0.2909
O  0.1038  0.1624  0.8074
O  0.1131  0.2492  0.3787
O  0.1159  0.2712  0.6278
O  0.2308  0.0093  0.2051
O  0.2454  0.4883  0.4648
O  0.2905  0.9396  0.5151
O  0.2916  0.7731  0.9367
O  0.3120  0.2363  0.9867
O  0.3693  0.6852  0.2443
O  0.4552  0.4511  0.8172
O  0.4795  0.5617  0.6388
O  0.4835  0.4695  0.0683
O  0.5177  0.2166  0.1567
O  0.5498  0.7328  0.7818
O  0.5878  0.9752  0.8762
O  0.6017  0.0419  0.3062
O  0.6223  0.9362  0.1270
O  0.7236  0.1905  0.7053
O  0.7257  0.7294  0.9584
O  0.7401  0.2651  0.9842
O  0.8106  0.4401  0.4497
O  0.8534  0.5293  0.7440
O  0.8581  0.9889  0.4880
O  0.9842  0.6750  0.1452
O  0.9837  0.7433  0.5742
O  0.9836  0.7759  0.3254

space-group type = P1, No. 1
size of the total moment = 20.000 μB per cell

Arrangement two

First-principles (PBE+U) data for a relaxed structure of Ba4MgMn4P8O28, as listed in the Materials Project database.

Unit cell a=5.6779 b=8.9350 c=13.9037 alpha=87.35 beta=85.08 gamma=89.07
Positions (direct):
Ba  0.0000  0.0000  0.0000
Ba  0.0472  0.5039  0.9354
Ba  0.4154  0.7581  0.4415
Ba  0.4740  0.2548  0.4110
Mg  0.5732  0.8347  0.8475
Mn  0.0115  0.4246  0.5807
Mn  0.2923  0.7221  0.7224
Mn  0.5685  0.3013  0.0960
Mn  0.9286  0.9673  0.3086
P  0.0378  0.3239  0.2182
P  0.4569  0.9440  0.1814
P  0.4735  0.3808  0.6998
P  0.4914  0.6952  0.0466
P  0.5226  0.2002  0.8837
P  0.8472  0.7855  0.6435
P  0.9252  0.0524  0.5092
P  0.9501  0.5607  0.3618
O  0.0526  0.6870  0.5975
O  0.1359  0.4895  0.4264
O  0.1587  0.0177  0.4485
O  0.1864  0.9581  0.1865
O  0.2550  0.7508  0.0135
O  0.2722  0.2255  0.9316
O  0.3027  0.4842  0.7597
O  0.3053  0.2944  0.2162
O  0.3537  0.3340  0.6104
O  0.4932  0.5270  0.0680
O  0.5134  0.2312  0.7686
O  0.5349  0.7764  0.1461
O  0.5575  0.9452  0.2801
O  0.5801  0.0569  0.1073
O  0.6053  0.7558  0.6090
O  0.6119  0.0380  0.8914
O  0.6962  0.3013  0.9298
O  0.6986  0.5206  0.4005
O  0.7027  0.7418  0.9732
O  0.7194  0.4445  0.6768
O  0.7218  0.9973  0.4534
O  0.8595  0.7801  0.7535
O  0.8937  0.2169  0.5311
O  0.8961  0.2164  0.2901
O  0.9201  0.9587  0.6114
O  0.9418  0.3285  0.1174
O  0.9892  0.7299  0.3469
O  0.9956  0.4941  0.2547

space-group type = P1, No. 1
size of the total moment = 20.000 μB per cell

arrangement two takes first place; second place is 17 meV/atom up.

Arrangement one

First-principles (PBE+U) data for a relaxed structure of Ba2MgMn2P4O14, as listed in the Materials Project database.

Unit cell a=5.3868 b=7.5748 c=9.8487 alpha=100.14 beta=105.42 gamma=90.83
Positions (direct):
Ba  0.0000  0.0000  0.0000
Ba  0.3462  0.9295  0.6659
Mg  0.6831  0.4136  0.3239
Mn  0.0572  0.5384  0.1730
Mn  0.2393  0.4187  0.4640
P  0.4885  0.3472  0.9906
P  0.4963  0.7326  0.0472
P  0.8305  0.2056  0.5692
P  0.8337  0.5900  0.6445
O  0.0923  0.6107  0.6081
O  0.0982  0.2048  0.5393
O  0.2966  0.7468  0.1345
O  0.3229  0.2032  0.8757
O  0.4079  0.3635  0.1349
O  0.4293  0.5375  0.9390
O  0.4561  0.8742  0.9512
O  0.6044  0.5836  0.5052
O  0.6133  0.2194  0.4327
O  0.7777  0.7390  0.1363
O  0.7820  0.3284  0.0213
O  0.7932  0.0525  0.6437
O  0.8033  0.7273  0.7689
O  0.8212  0.3906  0.6838

space-group type = P1, No. 1
size of the total moment = 10.004 μB per cell

Arrangement two

First-principles (PBE+U) data for a relaxed structure of Ba2MgMn2P4O14, as listed in the Materials Project database.

Unit cell a=5.5796 b=7.4420 c=8.4964 alpha=103.32 beta=92.44 gamma=90.40
Positions (direct):
Ba  0.0000  0.0000  0.0000
Ba  0.4391  0.8889  0.5837
Mg  0.4660  0.4900  0.7394
Mn  0.0383  0.5529  0.2405
Mn  0.4410  0.3181  0.4065
P  0.5153  0.3483  0.0301
P  0.5401  0.7578  0.1313
P  0.9451  0.1626  0.5453
P  0.9596  0.5948  0.6551
O  0.1439  0.1409  0.4236
O  0.1848  0.6733  0.7619
O  0.3012  0.3267  0.1360
O  0.3636  0.7414  0.2613
O  0.4836  0.9082  0.0423
O  0.4881  0.2376  0.8552
O  0.4940  0.5577  0.9963
O  0.6971  0.1261  0.4576
O  0.7400  0.6807  0.7469
O  0.7598  0.3371  0.1175
O  0.8091  0.7569  0.1792
O  0.9469  0.3770  0.6571
O  0.9642  0.6251  0.4839
O  0.9854  0.0479  0.6719

space-group type = P1, No. 1
size of the total moment = 10.000 μB per cell

arrangement one takes first place; second place is 11 meV/atom up.

Arrangement one

First-principles (PBE+U) data for a relaxed structure of Ba2YMgMn2TlO7, as listed in the Materials Project database.

Unit cell a=4.0396 b=3.8203 c=16.0463 alpha=90.00 beta=90.20 gamma=90.00
Positions (direct):
Ba  0.0000  0.0000  0.0000
Ba  0.0054  0.0000  0.4908
Y  0.0038  0.0000  0.2531
Mg  0.0095  0.5000  0.8069
Mn  0.5023  0.5000  0.1371
Mn  0.5042  0.5000  0.3746
Tl  0.5074  0.5000  0.6598
O  0.0027  0.5000  0.1640
O  0.0038  0.5000  0.3491
O  0.0062  0.0000  0.8352
O  0.5005  0.5000  0.0113
O  0.5029  0.0000  0.1857
O  0.5036  0.0000  0.3597
O  0.5055  0.5000  0.5127

space-group type = Pm, No. 6
size of the total moment = 9.099 μB per cell

Arrangement two

First-principles (PBE+U) data for a relaxed structure of Ba2YMgMn2TlO7, as listed in the Materials Project database.

Unit cell a=3.9832 b=3.9832 c=14.8552 alpha=90.00 beta=90.00 gamma=90.00
Positions (direct):
Ba  0.0000  0.0000  0.1685
Ba  0.0000  0.0000  0.8315
Y  0.0000  0.0000  0.5000
Mg  0.5000  0.5000  0.5000
Mn  0.5000  0.5000  0.3319
Mn  0.5000  0.5000  0.6681
Tl  0.5000  0.5000  0.0000
O  0.0000  0.0000  0.0000
O  0.0000  0.5000  0.4118
O  0.0000  0.5000  0.5882
O  0.5000  0.0000  0.4118
O  0.5000  0.0000  0.5882
O  0.5000  0.5000  0.1980
O  0.5000  0.5000  0.8020

space-group type = P4/mmm, No. 123
size of the total moment = 9.983 μB per cell

arrangement one takes first place; second place is 171 meV/atom up.